DFT (r²SCAN) results for a geometry-optimized Th2N2O structure.

**Density**: 10.487 g/cm³
**Total energy**: -184.027 eV for the cell shown

Cell: 3.950 3.950 5.955 Å, 90.00 90.00 120.00°
Fractional coordinates of all 5 atoms:
Th: 0.333 0.667 0.252
Th: 0.667 0.333 0.748
N: 0.333 0.667 0.652
N: 0.667 0.333 0.348
O: 0.000 0.000 0.000